Entry 1:
Material: Li3IrF6
Method: DFT, PBE
State: optimized geometry

Structure (extended XYZ):
```
10
Lattice="-3.453 -5.628 1.326 -2.441 5.082 -0.622 0.636 1.881 -6.109" Properties=species:S:1:pos:R:3 pbc="T T T"
Li 0.318 0.941 -3.055
Li -2.947 -0.273 0.352
Li -1.221 2.541 -0.311
Ir 0.000 0.000 0.000
F -0.860 2.905 -5.187
F -4.397 -1.570 -0.218
F -4.541 0.249 -3.819
F -0.717 1.086 -1.586
F -3.785 2.727 -5.356
F -1.472 -1.392 -0.049
```

Values from the calculation:
- Total DFT energy (no corrections): -4.756 eV/atom
- Distance to the lowest polymorph of the same formula: 44 meV/atom

---

Entry 2:
Material: CaS
Method: DFT, PBE
State: optimized geometry

Structure (extended XYZ):
```
2
Lattice="-2.858 -2.858 0.000 -2.858 0.000 -2.858 0.000 -2.858 -2.858" Properties=species:S:1:pos:R:3 pbc="T T T"
Ca 0.000 0.000 0.000
S -2.858 -2.858 -2.858
```

Values from the calculation:
- Total DFT energy (no corrections): -5.219 eV/atom

---

Entry 3:
Material: Mn2GaNi
Method: DFT, PBE
State: optimized geometry

Structure (extended XYZ):
```
4
Lattice="-0.289 -0.562 4.327 -4.220 -0.926 0.671 2.781 -1.877 -2.804" Properties=species:S:1:pos:R:3 pbc="T T T"
Mn -2.254 -0.744 2.499
Mn -1.847 -1.773 0.183
Ga 0.000 0.000 0.000
Ni 0.119 -1.591 2.011
```

Values from the calculation:
- Total DFT energy (no corrections): -6.843 eV/atom

---

Entry 4:
Material: SbAsIr
Method: DFT, PBE
State: optimized geometry

Structure (extended XYZ):
```
12
Lattice="0.000 -6.399 0.000 -5.834 0.000 2.640 -0.028 0.000 -6.554" Properties=species:S:1:pos:R:3 pbc="T T T"
Sb -3.883 -5.562 -0.318
Sb -1.966 -2.363 -0.320
Sb -1.980 -0.836 -3.597
Sb -3.897 -4.036 -3.595
As -4.962 -0.847 1.478
As -0.886 -4.047 -2.116
As -0.901 -5.552 -5.393
As -4.976 -2.352 -1.799
Ir -4.336 -3.139 0.554
Ir -1.512 -6.338 -1.192
Ir -1.526 -3.260 -4.469
Ir -4.350 -0.061 -2.723
```

Values from the calculation:
- Total DFT energy (no corrections): -6.239 eV/atom

---

Entry 5:
Material: BeH16C4S2Cl2O4
Method: DFT, PBE
State: optimized geometry

Structure (extended XYZ):
```
58
Lattice="8.083 0.082 0.902 2.735 7.861 0.497 0.055 0.016 10.825" Properties=species:S:1:pos:R:3 pbc="T T T"
Be 5.144 6.126 3.473
Be 5.729 1.832 8.750
H 4.540 7.637 10.711
H 6.333 0.321 1.512
H 1.452 1.550 10.293
H 9.421 6.408 1.931
H 3.152 0.957 10.482
H 7.721 7.002 1.741
H 2.528 2.142 3.183
H 8.344 5.817 9.041
H 3.475 2.233 1.639
H 7.397 5.726 10.585
H 1.806 2.928 1.730
H 9.067 5.030 10.494
H 2.368 6.137 6.416
H 8.505 1.821 5.808
H 3.215 5.841 8.000
H 7.658 2.118 4.223
H 3.402 7.440 7.165
H 7.470 0.518 5.058
H 6.895 6.021 6.802
H 3.978 1.937 5.421
H 5.802 7.326 7.456
H 5.070 0.632 4.767
H 5.809 5.681 8.213
H 5.064 2.277 4.011
H 6.601 4.425 2.818
H 4.271 3.533 9.406
H 7.300 5.339 3.974
H 3.572 2.619 8.249
H 2.927 5.394 3.233
H 7.946 2.564 8.990
H 3.801 5.128 1.872
H 7.072 2.830 10.352
C 2.091 0.739 10.661
C 8.781 7.219 1.562
C 2.478 2.137 2.089
C 8.394 5.822 10.134
C 3.249 6.359 7.031
C 7.623 1.599 5.192
C 5.931 6.248 7.279
C 4.942 1.710 4.945
S 1.763 0.582 1.590
S 9.110 7.376 10.633
S 4.652 5.717 6.155
S 6.221 2.241 6.069
Cl 7.099 2.972 1.551
Cl 3.773 4.986 10.673
Cl 9.100 5.686 4.868
Cl 1.773 2.272 7.355
O 5.557 7.390 2.546
O 5.315 0.568 9.677
O 4.789 6.697 4.948
O 6.084 1.262 7.275
O 6.414 5.093 3.556
O 4.459 2.865 8.668
O 3.863 5.278 2.869
O 7.010 2.680 9.354
```

Values from the calculation:
- Total DFT energy (no corrections): -4.979 eV/atom

---

Entry 6:
Material: PaP2
Method: DFT, PBE
State: optimized geometry

Structure (extended XYZ):
```
6
Lattice="-3.097 -1.916 1.292 -0.903 -0.986 -3.625 4.326 -6.523 0.696" Properties=species:S:1:pos:R:3 pbc="T T T"
Pa 2.666 -5.193 -1.311
Pa -0.340 -2.780 0.841
P 1.104 -2.839 -1.562
P 1.221 -5.135 1.092
P 0.000 0.000 0.000
P -2.000 -1.451 -1.167
```

Values from the calculation:
- Total DFT energy (no corrections): -7.813 eV/atom

---

Entry 7:
Material: U20Si16C3
Method: DFT, PBE
State: optimized geometry

Structure (extended XYZ):
```
39
Lattice="-10.038 0.630 -2.386 6.711 -3.847 -6.857 -1.146 -7.205 2.920" Properties=species:S:1:pos:R:3 pbc="T T T"
U 0.000 0.000 0.000
U -0.573 -3.602 1.460
U -5.363 -1.844 -0.318
U -2.007 -3.767 -3.746
U 3.012 -4.082 -2.554
U -5.822 -4.731 0.852
U -2.466 -6.654 -2.576
U 2.553 -6.969 -1.384
U 0.733 -1.531 -3.490
U -6.408 -0.340 -3.355
U -2.897 -0.561 -2.521
U -0.430 -2.656 -6.722
U 3.080 -2.876 -5.888
U -4.061 -1.686 -5.753
U 0.147 -5.107 -1.969
U -7.044 -3.926 -1.878
U -3.420 -4.153 -1.017
U -1.054 -6.268 -5.306
U 2.570 -6.496 -4.445
U -4.621 -5.315 -4.354
Si 0.836 -4.188 -4.624
Si -4.747 -2.695 -3.133
Si -5.310 -6.234 -1.699
Si 0.273 -7.726 -3.190
Si -2.561 -1.653 0.187
Si -1.040 -2.525 -1.367
Si 4.904 -4.771 -4.575
Si 1.235 -2.668 -0.827
Si -2.859 -4.283 -6.420
Si -3.136 -5.266 1.652
Si -3.434 -7.897 -4.955
Si -8.048 -1.309 -1.117
Si 0.661 -6.281 0.638
Si 4.329 -8.384 -3.111
Si -8.623 -4.922 0.347
Si -1.615 -6.138 0.097
C -5.019 0.315 -1.193
C -1.664 -1.608 -4.621
C 3.355 -1.923 -3.429
```

Values from the calculation:
- Total DFT energy (no corrections): -8.979 eV/atom

---

Entry 8:
Material: Y6CrGe2S14
Method: DFT, PBE
State: optimized geometry

Structure (extended XYZ):
```
23
Lattice="-2.768 -4.875 1.455 7.827 -5.290 -2.714 7.030 -2.069 6.625" Properties=species:S:1:pos:R:3 pbc="T T T"
Y 4.225 -6.168 4.702
Y 3.890 -7.323 0.218
Y 0.534 -4.793 2.252
Y 7.902 -6.027 0.633
Y 8.194 -4.887 5.171
Y 11.577 -7.413 3.127
Cr 5.536 -4.666 7.375
Ge 4.474 -3.277 1.559
Ge 8.067 -8.147 3.567
S 5.687 -3.782 4.937
S 5.757 -5.681 -1.015
S 0.948 -2.255 1.191
S 6.202 -8.776 0.548
S 6.197 -6.895 6.485
S 10.942 -10.305 4.243
S 3.429 -5.140 2.093
S 9.783 -5.120 2.693
S 4.131 -1.543 2.948
S 6.700 -3.467 1.437
S 3.931 -2.462 -0.459
S 9.319 -8.296 1.714
S 6.740 -6.382 3.184
S 9.499 -7.393 5.119
```

Values from the calculation:
- Total DFT energy (no corrections): -6.505 eV/atom

---

no.,formation energy from the elements (eV per atom)
1,-2.428
2,-2.400
3,-0.060
4,-0.364
5,-0.705
6,-1.033
7,-0.253
8,-1.785